Record 1
This record from the Materials Project describes a relaxed structure of CaLaNbCoO6. The functional is PBE with a Hubbard U.

a b c (Å): 5.5679 11.4898 7.9826
angles (deg): 89.99 90.33 90.03
Last column: nearest neighbours and their distance in Å.
Fractional coordinates of all 40 atoms:
Ca 0.4854 0.2773 0.2525  5 O 2.36-2.61
Ca 0.4855 0.7773 0.2525  6 O 2.36-2.65
Ca 0.9853 0.4727 0.7526  6 O 2.36-2.64
Ca 0.9854 0.9728 0.7527  6 O 2.36-2.64
La 0.5118 0.2239 0.7475  5 O 2.38-2.63
La 0.5123 0.7238 0.7474  5 O 2.39-2.63
La 0.0119 0.0261 0.2475  5 O 2.38-2.63
La 0.0119 0.5260 0.2475  5 O 2.38-2.63
Nb 0.9998 0.2526 0.4985  6 O 2.01-2.03
Nb 0.0003 0.7526 0.4985  6 O 2.01-2.03
Nb 0.4998 0.4974 0.9984  6 O 2.01-2.03
Nb 0.4997 0.9974 0.9985  6 O 2.01-2.03
Co 0.0006 0.7496 0.0002  6 O 2.11-2.15
Co 0.5008 0.5004 0.5001  6 O 2.11-2.15
Co 0.0005 0.2496 0.0002  6 O 2.11-2.15
Co 0.5010 0.0005 0.5002  6 O 2.11-2.15
O 0.2929 0.1534 0.4529  1 Nb 2.03, 1 Co 2.14
O 0.2934 0.6534 0.4527  1 Nb 2.03, 1 Co 2.14
O 0.7935 0.0965 0.9526  1 Nb 2.03, 1 Co 2.14
O 0.7932 0.5962 0.9525  1 Nb 2.02, 1 Co 2.14
O 0.7091 0.3508 0.5470  1 Nb 2.01, 1 Co 2.11
O 0.7097 0.8508 0.5471  1 Nb 2.01, 1 Co 2.11
O 0.2084 0.3994 0.0470  1 Nb 2.01, 1 Co 2.11
O 0.2088 0.8995 0.0472  1 Nb 2.01, 1 Co 2.11
O 0.1970 0.3948 0.4467  1 Nb 2.01, 1 Co 2.12
O 0.1974 0.8947 0.4467  1 Nb 2.01, 1 Co 2.12
O 0.6961 0.3549 0.9472  1 Nb 2.01, 1 Co 2.12
O 0.6962 0.8551 0.9470  1 Nb 2.01, 1 Co 2.12
O 0.8084 0.1072 0.5547  1 Nb 2.03, 1 Co 2.15
O 0.8087 0.6071 0.5545  1 Nb 2.03, 1 Co 2.15
O 0.3090 0.1431 0.0545  1 Nb 2.03, 1 Co 2.15
O 0.3088 0.6429 0.0543  1 Nb 2.03, 1 Co 2.15
O 0.5934 0.4821 0.2432  1 Nb 2.03, 1 Co 2.13
O 0.5938 0.9821 0.2431  1 Nb 2.03, 1 Co 2.13
O 0.0934 0.2680 0.7433  1 Nb 2.03, 1 Co 2.13
O 0.0937 0.7679 0.7433  1 Nb 2.03, 1 Co 2.13
O 0.4005 0.0153 0.7569  1 Nb 2.01, 1 Co 2.13
O 0.4007 0.5151 0.7567  1 Nb 2.01, 1 Co 2.13
O 0.9007 0.2348 0.2568  1 Nb 2.01, 1 Co 2.13
O 0.9009 0.7348 0.2568  1 Nb 2.01, 1 Co 2.13

Output
The size of the total moment is 0.00 μB per cell.

Record 2
This record from the Materials Project describes a relaxed structure of CaLa2CoO6. The functional is PBE with a Hubbard U.

a b c (Å): 5.8455 9.5803 10.0731
angles (deg): 100.00 90.06 107.39
Last column: nearest neighbours and their distance in Å.
Fractional coordinates of all 40 atoms:
Ca 0.0000 0.0000 0.0000  6 O 2.24-2.28
Ca 0.2456 0.4979 0.7502  6 O 2.27-2.28
Ca 0.4971 0.9987 0.5009  6 O 2.26-2.28
Ca 0.7428 0.4970 0.2510  6 O 2.24-2.28
La 0.0506 0.1076 0.6847  6 O 2.40-2.65
La 0.1890 0.3878 0.0662  6 O 2.39-2.66
La 0.2976 0.6077 0.4369  6 O 2.40-2.65
La 0.4445 0.8892 0.8141  6 O 2.40-2.65
La 0.5534 0.1091 0.1850  6 O 2.40-2.66
La 0.6924 0.3890 0.5662  6 O 2.40-2.64
La 0.7984 0.6065 0.9361  4 O 2.35-2.64
La 0.9450 0.8904 0.3151  4 O 2.35-2.63
Co 0.1219 0.2487 0.3756  6 O 1.90-1.91
Co 0.3715 0.7485 0.1256  6 O 1.91-2.01
Co 0.6207 0.2482 0.8755  6 O 1.90-1.92
Co 0.8712 0.7483 0.6255  6 O 1.90-1.92
O 0.0080 0.3716 0.2782  1 Co 1.91
O 0.0308 0.6222 0.1322  1 Co 2.01, 1 Ca 2.24
O 0.0920 0.3711 0.5423  1 Co 1.91
O 0.1544 0.1281 0.2091  1 Co 1.91
O 0.1962 0.8697 0.6168  1 Co 1.92
O 0.2343 0.1251 0.4730  1 Co 1.91
O 0.2639 0.8732 0.0280  1 Co 1.91
O 0.2985 0.1263 0.8822  1 Co 1.90
O 0.3440 0.8706 0.2927  1 Co 1.91
O 0.3994 0.6264 0.9584  1 Co 1.91
O 0.4432 0.3696 0.3683  1 Co 1.90
O 0.4789 0.6238 0.2231  1 Co 1.91
O 0.5083 0.3707 0.7781  1 Co 1.91
O 0.5463 0.6265 0.6340  1 Co 1.92
O 0.5888 0.3686 0.0423  1 Co 1.91
O 0.6502 0.1258 0.7086  1 Co 1.92
O 0.7121 0.8755 0.1193  1 Co 2.01, 1 Ca 2.24
O 0.7349 0.1262 0.9728  1 Co 1.91
O 0.7593 0.8713 0.5288  1 Co 1.90
O 0.7983 0.1274 0.3840  1 Co 1.91
O 0.8438 0.8713 0.7918  1 Co 1.91
O 0.8983 0.6253 0.4594  1 Co 1.91
O 0.9455 0.3706 0.8678  1 Co 1.92
O 0.9834 0.6254 0.7223  1 Co 1.90

Output
As for the space group: P1 (1). The size of the total moment is 2.01 μB per cell.

Record 3
This record from the Materials Project describes a relaxed structure of CaLa2CoO6. The functional is PBE with a Hubbard U.

a b c (Å): 5.5976 5.6530 19.0140
angles (deg): 83.23 83.64 62.72
Last column: nearest neighbours and their distance in Å.
Fractional coordinates of all 40 atoms:
Ca 0.1226 0.1291 0.1261  6 O 2.24-2.28
Ca 0.3750 0.3752 0.3752  6 O 2.26-2.29
Ca 0.6250 0.6248 0.6248  6 O 2.26-2.29
Ca 0.8774 0.8709 0.8739  6 O 2.24-2.28
La 0.0503 0.0476 0.3108  6 O 2.40-2.66
La 0.2016 0.1982 0.9400  3 O 2.34-2.41
La 0.3010 0.2963 0.5603  6 O 2.40-2.67
La 0.4461 0.4547 0.1906  6 O 2.40-2.65
La 0.5539 0.5453 0.8094  6 O 2.40-2.65
La 0.6990 0.7037 0.4397  6 O 2.40-2.67
La 0.7984 0.8018 0.0600  3 O 2.34-2.41
La 0.9497 0.9524 0.6892  6 O 2.40-2.66
Co 0.0000 0.0000 0.5000  6 O 1.90-1.93
Co 0.2511 0.2490 0.7497  6 O 1.90-1.92
Co 0.5000 0.5000 0.0000  6 O 1.90-2.03
Co 0.7489 0.7510 0.2503  6 O 1.90-1.92
O 0.0133 0.8367 0.1972  1 Co 1.91
O 0.0331 0.3777 0.6706  1 Co 1.90
O 0.0767 0.5991 0.7835  1 Co 1.92
O 0.1750 0.6484 0.4657  1 Co 1.93
O 0.2190 0.8727 0.5790  1 Co 1.90
O 0.2356 0.4211 0.0544  1 Co 1.90
O 0.2621 0.0853 0.4462  1 Co 1.91
O 0.2847 0.6251 0.9201  1 Co 1.91
O 0.3151 0.8716 0.0350  1 Co 2.03, 1 Ca 2.24
O 0.4274 0.8989 0.7154  1 Co 1.92
O 0.4691 0.1213 0.8287  1 Co 1.90
O 0.4853 0.6655 0.3036  1 Co 1.91
O 0.5147 0.3345 0.6964  1 Co 1.91
O 0.5309 0.8787 0.1713  1 Co 1.90
O 0.5726 0.1011 0.2846  1 Co 1.92
O 0.6849 0.1284 0.9650  1 Co 2.03, 1 Ca 2.24
O 0.7153 0.3749 0.0799  1 Co 1.91
O 0.7379 0.9147 0.5538  1 Co 1.91
O 0.7644 0.5789 0.9456  1 Co 1.90
O 0.7810 0.1273 0.4210  1 Co 1.90
O 0.8250 0.3516 0.5343  1 Co 1.93
O 0.9233 0.4009 0.2165  1 Co 1.92
O 0.9669 0.6223 0.3294  1 Co 1.90
O 0.9867 0.1633 0.8028  1 Co 1.91

Output
As for the space group: P-1 (2). The size of the total moment is 4.00 μB per cell.

Record 4
This record from the Materials Project describes a relaxed structure of CaLa2CoO6. The functional is PBE with a Hubbard U.

a b c (Å): 5.8142 5.8262 9.5694
angles (deg): 89.95 72.39 60.11
Last column: nearest neighbours and their distance in Å.
Fractional coordinates of all 20 atoms:
Ca 0.0003 0.2493 0.2499  6 O 2.26-2.28
Ca 0.9997 0.7507 0.7501  6 O 2.26-2.28
La 0.2599 0.1194 0.8592  6 O 2.39-2.64
La 0.2604 0.6200 0.3588  6 O 2.40-2.63
La 0.7396 0.3800 0.6412  6 O 2.40-2.63
La 0.7401 0.8806 0.1408  6 O 2.39-2.64
Co 0.5000 0.0000 0.5000  6 O 1.90-1.91
Co 0.5000 0.5000 0.0000  6 O 1.90-1.92
O 0.1817 0.8341 0.1230  1 Co 1.92
O 0.1836 0.3324 0.6224  1 Co 1.91
O 0.2901 0.0159 0.3774  1 Co 1.90
O 0.2906 0.5159 0.8778  1 Co 1.90
O 0.3622 0.3061 0.1221  1 Co 1.90
O 0.3616 0.8056 0.6227  1 Co 1.91
O 0.6384 0.1944 0.3773  1 Co 1.91
O 0.6378 0.6939 0.8779  1 Co 1.90
O 0.7094 0.4841 0.1222  1 Co 1.90
O 0.7099 0.9841 0.6226  1 Co 1.90
O 0.8164 0.6676 0.3776  1 Co 1.91
O 0.8183 0.1659 0.8770  1 Co 1.92

Output
As for the space group: P-1 (2). The size of the total moment is 0.00 μB per cell.

Record 5
This record from the Materials Project describes a relaxed structure of CaLa3Co2O8. The functional is PBE with a Hubbard U.

a b c (Å): 6.9085 7.6522 7.6564
angles (deg): 89.87 73.91 73.89
Last column: nearest neighbours and their distance in Å.
Fractional coordinates of all 28 atoms:
Ca 0.0000 0.0000 0.0000  2 O 2.34-2.62
Ca 0.0034 0.5008 0.4959  1 O 2.32
La 0.0084 0.9974 0.4997  1 O 2.30
La 0.0094 0.4953 0.9974  1 O 2.31
La 0.5628 0.8549 0.8584  5 O 2.34-2.62
La 0.5666 0.3586 0.3583  5 O 2.35-2.62
La 0.5701 0.3556 0.8534  1 O 2.30
La 0.5708 0.8550 0.3563  1 O 2.30
Co 0.2719 0.6799 0.6796  5 O 1.97-2.16
Co 0.2733 0.1800 0.6787  4 O 1.86-1.88
Co 0.2748 0.6788 0.1795  4 O 1.86-1.88
Co 0.2795 0.1774 0.1777  5 O 1.96-2.18
O 0.2825 0.9208 0.1798  2 Co 1.87-1.96
O 0.2865 0.1744 0.9203  2 Co 1.88-1.96
O 0.2860 0.1785 0.4318  2 Co 1.87-1.96
O 0.2914 0.4181 0.6767  2 Co 1.86-1.97
O 0.2909 0.4301 0.1745  2 Co 1.88-1.96
O 0.2912 0.6734 0.9324  2 Co 1.86-1.98
O 0.2913 0.9319 0.6766  2 Co 1.87-1.97
O 0.2925 0.6756 0.4174  2 Co 1.86-1.97
O 0.6313 0.0860 0.0894  1 Co 2.24, 1 Ca 2.34
O 0.6385 0.5849 0.5863  1 Ca 2.32, 1 Co 2.33
O 0.6460 0.0878 0.5837  1 La 2.30, 1 Co 2.37
O 0.6465 0.5870 0.0862  1 La 2.31, 1 Co 2.36
O 0.9324 0.2592 0.7655  1 Co 2.17, 1 La 2.30
O 0.9316 0.7631 0.7610  1 Co 2.16, 1 La 2.34
O 0.9333 0.7605 0.2626  1 Co 2.17, 1 La 2.30
O 0.9360 0.2636 0.2608  1 Co 2.18, 1 La 2.35

Output
As for the space group: P1 (1). The size of the total moment is 4.00 μB per cell.

Record 6
This record from the Materials Project describes a relaxed structure of CaLaCo2O6. The functional is PBE with a Hubbard U.

a b c (Å): 5.3722 5.3722 5.3722
angles (deg): 60.00 60.00 60.00
Last column: nearest neighbours and their distance in Å.
Fractional coordinates of all 10 atoms:
Ca 0.0000 0.0000 0.0000  12 O 2.69
La 0.5000 0.5000 0.5000  12 O 2.69
Co 0.2500 0.2500 0.2500  6 O 1.90
Co 0.7500 0.7500 0.7500  6 O 1.90
O 0.0000 0.0000 0.5000  2 Co 1.90
O 0.0000 0.5000 0.0000  2 Co 1.90
O 0.0000 0.5000 0.5000  2 Co 1.90
O 0.5000 0.0000 0.0000  2 Co 1.90
O 0.5000 0.0000 0.5000  2 Co 1.90
O 0.5000 0.5000 0.0000  2 Co 1.90

Output
As for the space group: Fm-3m (225). The size of the total moment is 4.77 μB per cell.

| no. | formation enthalpy at 0 K (eV/atom) | E_tot (eV per atom) |
| --- | --- | --- |
| 1 | -3.0560 | -7.864 |
| 2 | -2.9175 | -7.209 |
| 3 | -2.9301 | -7.221 |
| 4 | -2.9323 | -7.224 |
| 5 | -2.9303 | -7.348 |
| 6 | -2.1881 | -6.533 |